Entry 1:
A plane-wave DFT calculation with GGA+U was carried out for crystalline Li5Fe2P2C2O14 at its relaxed geometry. Values from VASP.

The structure in Quantum ESPRESSO input format:
```
&SYSTEM
  ibrav = 0, nat = 50, ntyp = 5
/
ATOMIC_SPECIES
O 16.00 O.upf
Li 6.94 Li.upf
C 12.01 C.upf
Fe 55.84 Fe.upf
P 30.97 P.upf
ATOMIC_POSITIONS crystal
O 0.838 0.125 0.574
O 0.420 0.148 0.441
Li 0.255 0.229 0.276
O 0.513 0.365 0.165
O 0.128 0.866 0.426
Li 0.798 0.122 0.104
C 0.688 0.371 0.041
O 0.623 0.870 0.897
O 0.792 0.532 0.310
O 0.845 0.220 0.303
O 0.845 0.720 0.303
Fe 0.216 0.623 0.666
O 0.176 0.282 0.700
O 0.623 0.370 0.897
O 0.176 0.782 0.700
P 0.721 0.630 0.413
O 0.086 0.125 0.935
C 0.689 0.871 0.041
O 0.563 0.375 0.542
Fe 0.790 0.380 0.329
P 0.255 0.872 0.583
Li 0.741 0.743 0.742
O 0.128 0.366 0.426
O 0.933 0.380 0.072
P 0.722 0.130 0.413
O 0.159 0.467 0.686
Li 0.220 0.877 0.899
Fe 0.216 0.123 0.666
O 0.410 0.145 0.097
O 0.159 0.967 0.686
Li 0.741 0.243 0.742
O 0.420 0.648 0.441
O 0.410 0.645 0.097
C 0.333 0.629 0.961
O 0.563 0.875 0.542
O 0.792 0.032 0.310
Li 0.798 0.622 0.104
C 0.333 0.129 0.961
P 0.255 0.372 0.583
O 0.838 0.625 0.574
Li 0.739 0.998 0.734
O 0.933 0.880 0.072
O 0.511 0.116 0.835
O 0.086 0.625 0.935
Li 0.220 0.377 0.899
O 0.513 0.865 0.165
Li 0.739 0.498 0.734
Fe 0.790 0.880 0.329
O 0.511 0.617 0.835
Li 0.255 0.729 0.276
CELL_PARAMETERS angstrom
-2.661 -2.119 -3.782
1.484 -11.747 5.224
-7.527 0.600 3.749
```

Results
Formation enthalpy at 0 K: -2.310 eV per atom
Volume: 11.03 A^3/atom
VASP energy: -337.3 eV per cell



Entry 2:
A plane-wave DFT calculation with GGA+U was carried out for crystalline Na2FeO2 at its relaxed geometry. Values from VASP.

The structure in Quantum ESPRESSO input format:
```
&SYSTEM
  ibrav = 0, nat = 10, ntyp = 3
/
ATOMIC_SPECIES
O 16.00 O.upf
Na 22.99 Na.upf
Fe 55.84 Fe.upf
ATOMIC_POSITIONS crystal
O 0.366 0.299 0.567
O 0.366 0.799 0.067
Na 0.309 0.464 0.845
Fe 0.000 0.500 0.500
Na 0.691 0.536 0.155
Na 0.309 0.964 0.345
Na 0.691 0.036 0.655
O 0.634 0.701 0.433
Fe 0.000 0.000 0.000
O 0.634 0.201 0.933
CELL_PARAMETERS angstrom
0.000 3.040 0.000
2.294 -1.520 5.120
6.882 1.520 -5.121
```

Results
Formation enthalpy at 0 K: -1.543 eV per atom
Volume: 14.28 A^3/atom
VASP energy: -50.2 eV per cell



Entry 3:
A plane-wave DFT calculation with GGA+U was carried out for crystalline Li3FeP2O8 at its relaxed geometry. Values from VASP.

The structure in Quantum ESPRESSO input format:
```
&SYSTEM
  ibrav = 0, nat = 112, ntyp = 4
/
ATOMIC_SPECIES
Li 6.94 Li.upf
Fe 55.84 Fe.upf
O 16.00 O.upf
P 30.97 P.upf
ATOMIC_POSITIONS crystal
Li 0.535 0.539 0.180
Fe 0.445 0.352 0.508
O 0.441 0.519 0.937
P 0.970 0.461 0.597
Li 0.931 0.536 0.446
O 0.718 0.245 0.955
Fe 0.926 0.603 0.763
O 0.424 0.356 0.329
P 0.970 0.039 0.097
O 0.964 0.237 0.834
Li 0.931 0.964 0.946
O 0.801 0.493 0.315
O 0.199 0.993 0.315
O 0.683 0.051 0.321
Li 0.962 0.290 0.081
P 0.522 0.470 0.351
O 0.126 0.144 0.079
Li 0.068 0.141 0.256
O 0.919 0.056 0.552
O 0.036 0.763 0.334
P 0.522 0.030 0.851
O 0.576 0.856 0.329
O 0.424 0.144 0.829
O 0.126 0.356 0.579
O 0.802 0.695 0.453
Fe 0.074 0.103 0.763
Li 0.452 0.886 0.008
O 0.964 0.263 0.334
O 0.545 0.228 0.588
Fe 0.074 0.397 0.263
O 0.683 0.449 0.821
P 0.478 0.970 0.351
O 0.317 0.551 0.321
O 0.849 0.200 0.695
P 0.478 0.530 0.851
O 0.985 0.523 0.182
O 0.919 0.444 0.052
Li 0.932 0.859 0.756
P 0.547 0.215 0.674
O 0.874 0.856 0.579
Fe 0.555 0.852 0.508
O 0.015 0.477 0.682
O 0.431 0.190 0.217
Li 0.410 0.789 0.822
O 0.666 0.054 0.081
O 0.615 0.610 0.690
O 0.334 0.554 0.081
O 0.015 0.023 0.182
O 0.902 0.610 0.941
Li 0.069 0.036 0.446
O 0.151 0.800 0.195
O 0.441 0.981 0.437
P 0.002 0.777 0.420
O 0.198 0.305 0.953
Li 0.962 0.210 0.581
P 0.030 0.961 0.597
O 0.385 0.390 0.190
O 0.559 0.481 0.437
O 0.282 0.745 0.955
Li 0.548 0.386 0.008
O 0.802 0.805 0.953
O 0.902 0.890 0.441
Fe 0.445 0.148 0.008
P 0.453 0.715 0.674
O 0.151 0.700 0.695
O 0.666 0.446 0.581
Li 0.068 0.359 0.756
O 0.569 0.690 0.217
Li 0.452 0.614 0.508
P 0.453 0.785 0.174
O 0.874 0.644 0.079
O 0.198 0.195 0.453
O 0.718 0.255 0.455
O 0.081 0.944 0.052
O 0.455 0.728 0.588
O 0.985 0.977 0.682
P 0.030 0.539 0.097
Li 0.590 0.211 0.322
Fe 0.926 0.897 0.263
O 0.199 0.507 0.815
O 0.569 0.810 0.717
O 0.431 0.310 0.717
Li 0.590 0.289 0.822
O 0.317 0.949 0.821
Li 0.038 0.710 0.581
O 0.334 0.946 0.581
O 0.615 0.890 0.190
O 0.098 0.110 0.941
O 0.081 0.556 0.552
Li 0.548 0.114 0.508
P 0.998 0.223 0.920
Li 0.465 0.039 0.180
P 0.998 0.277 0.420
O 0.455 0.772 0.088
O 0.282 0.755 0.455
O 0.576 0.644 0.829
Li 0.069 0.464 0.946
O 0.801 0.007 0.815
P 0.547 0.285 0.174
Fe 0.555 0.648 0.008
O 0.098 0.390 0.441
Li 0.535 0.961 0.680
O 0.559 0.019 0.937
O 0.385 0.110 0.690
Li 0.465 0.461 0.680
O 0.849 0.300 0.195
Li 0.038 0.790 0.081
O 0.036 0.737 0.834
O 0.545 0.272 0.088
Li 0.932 0.641 0.256
Li 0.410 0.711 0.322
P 0.002 0.723 0.920
CELL_PARAMETERS angstrom
5.030 0.000 0.000
0.000 12.382 0.000
0.000 0.000 18.111
```

Results
Formation enthalpy at 0 K: -2.492 eV per atom
Volume: 10.07 A^3/atom
VASP energy: -733.9 eV per cell



Entry 4:
A plane-wave DFT calculation with GGA+U was carried out for crystalline MgMn4O7F at its relaxed geometry. Values from VASP.

The structure in Quantum ESPRESSO input format:
```
&SYSTEM
  ibrav = 0, nat = 13, ntyp = 4
/
ATOMIC_SPECIES
Mn 54.94 Mn.upf
O 16.00 O.upf
F 19.00 F.upf
Mg 24.30 Mg.upf
ATOMIC_POSITIONS crystal
Mn 0.991 0.332 0.263
Mn 0.490 0.350 0.752
O 0.264 0.170 0.982
O 0.766 0.103 0.574
O 0.281 0.361 0.458
Mn 0.463 0.613 0.232
F 0.761 0.847 0.055
Mg 0.526 0.081 0.280
O 0.273 0.872 0.416
O 0.710 0.533 0.503
O 0.692 0.347 0.053
O 0.257 0.621 0.923
Mn 0.040 0.878 0.745
CELL_PARAMETERS angstrom
5.009 0.529 0.365
0.602 6.134 0.173
0.365 0.146 4.940
```

Results
Formation enthalpy at 0 K: -2.135 eV per atom
Volume: 11.49 A^3/atom
VASP energy: -90.6 eV per cell



Please write out number 4 again, unchanged.
A plane-wave DFT calculation with GGA+U was carried out for crystalline MgMn4O7F at its relaxed geometry. Values from VASP.

The structure in Quantum ESPRESSO input format:
```
&SYSTEM
  ibrav = 0, nat = 13, ntyp = 4
/
ATOMIC_SPECIES
Mn 54.94 Mn.upf
O 16.00 O.upf
F 19.00 F.upf
Mg 24.30 Mg.upf
ATOMIC_POSITIONS crystal
Mn 0.991 0.332 0.263
Mn 0.490 0.350 0.752
O 0.264 0.170 0.982
O 0.766 0.103 0.574
O 0.281 0.361 0.458
Mn 0.463 0.613 0.232
F 0.761 0.847 0.055
Mg 0.526 0.081 0.280
O 0.273 0.872 0.416
O 0.710 0.533 0.503
O 0.692 0.347 0.053
O 0.257 0.621 0.923
Mn 0.040 0.878 0.745
CELL_PARAMETERS angstrom
5.009 0.529 0.365
0.602 6.134 0.173
0.365 0.146 4.940
```

Results
Formation enthalpy at 0 K: -2.135 eV per atom
Volume: 11.49 A^3/atom
VASP energy: -90.6 eV per cell



Which value of formation enthalpy at 0 K does entry 3 give? -2.492 eV per atom